1.
10
Lattice="5.137 -2.118 0.000 5.137 2.118 0.000 -2.039 0.000 6.404" Properties=species:S:1:pos:R:3 comment="Mg2SnN2, optimized geometry, DFT PBE" volume_a3_per_cell=139.3 ef_kj_per_mol_atoms=-45.54 spacegroup="No. 5" pbc="T T T"
Mg -0.415 0.000 1.328
Mg 1.498 0.005 6.141
Mg 6.738 0.005 0.263
Mg 8.650 0.000 5.076
Sn 2.480 0.110 2.702
Sn 5.756 0.110 3.702
N 1.543 -0.004 0.572
N 4.455 -0.009 1.747
N 3.781 -0.009 4.656
N 6.693 -0.004 5.832

***

2.
17
Lattice="2.754 -2.758 0.000 2.754 2.758 0.000 -2.744 0.000 14.471" Properties=species:S:1:pos:R:3 comment="Sr2CeEuCu2RuO10, optimized geometry, DFT PBE" volume_a3_per_cell=219.8 ef_kj_per_mol_atoms=-234.49 spacegroup="No. 8" pbc="T T T"
Sr 0.000 0.000 0.000
Sr 0.016 0.000 4.505
Ce -0.014 0.000 8.262
Eu 2.741 0.000 10.847
Cu -0.004 0.000 12.628
Cu 2.747 0.000 6.438
Ru 2.882 0.000 2.303
O 1.547 1.435 2.329
O 1.368 1.377 6.632
O 1.362 1.379 9.448
O 1.371 1.381 12.493
O 2.754 0.000 0.360
O 1.547 -1.435 2.329
O 2.766 0.000 4.272
O 1.368 -1.377 6.632
O 1.362 -1.379 9.448
O 1.371 -1.381 12.493

***

3.
100
Lattice="10.302 0.000 0.000 -0.487 10.355 0.000 -1.107 -0.704 10.451" Properties=species:S:1:pos:R:3 comment="Al2O3, optimized geometry, DFT PBE" volume_a3_per_cell=1115.0 ef_kj_per_mol_atoms=-310.84 spacegroup="No. 1" pbc="T T T"
Al 0.000 0.000 0.000
Al -1.053 9.356 5.746
Al -0.254 7.098 3.987
Al 0.521 6.874 1.151
Al 0.444 4.596 3.740
Al -0.010 4.795 9.488
Al 0.173 7.649 8.408
Al 0.888 1.558 9.954
Al 1.766 0.924 6.854
Al 1.807 9.292 3.141
Al 1.695 8.436 5.905
Al 2.234 2.167 3.834
Al 2.965 8.214 0.407
Al 2.717 5.356 5.929
Al 2.608 3.326 8.719
Al 3.964 1.251 1.928
Al 3.923 4.448 3.549
Al 3.918 2.972 6.449
Al 4.263 -0.046 7.906
Al 4.442 9.038 5.178
Al 4.220 1.847 10.370
Al 4.669 7.128 9.180
Al 5.659 6.424 1.391
Al 5.435 9.382 2.314
Al 5.468 4.456 8.747
Al 5.761 5.901 6.235
Al 5.651 9.531 9.858
Al 7.278 2.158 2.376
Al 7.029 0.089 5.564
Al 6.959 7.627 4.371
Al 7.413 4.860 3.385
Al 7.312 3.175 7.105
Al 7.244 1.817 9.790
Al 8.306 5.744 0.349
Al 8.298 8.681 1.890
Al 7.692 8.324 7.991
Al 8.410 2.797 4.641
Al 8.864 5.600 6.560
Al 9.287 1.106 7.365
Al 9.937 1.661 2.112
O -0.232 5.337 0.168
O -1.267 8.423 9.206
O -0.165 5.853 5.213
O 0.131 0.730 5.915
O -0.331 5.841 8.067
O 0.776 1.563 0.515
O 0.562 6.114 2.759
O 0.734 2.786 3.144
O 0.114 8.465 6.813
O 0.430 8.730 4.384
O 0.567 1.006 8.295
O 1.571 8.367 1.684
O 1.015 3.314 9.469
O 1.964 6.629 0.061
O 2.414 0.667 2.899
O 1.428 8.287 9.377
O 2.195 4.611 4.332
O 2.677 1.967 5.542
O 2.408 6.946 6.353
O 2.348 9.842 6.845
O 2.622 4.094 7.174
O 3.602 1.978 0.243
O 2.887 8.792 4.461
O 3.173 1.691 7.979
O 3.732 2.749 3.065
O 3.850 9.810 1.679
O 4.656 7.542 0.275
O 4.554 5.449 2.346
O 4.417 4.661 5.367
O 4.009 3.533 9.736
O 4.086 8.966 9.046
O 4.669 5.910 7.780
O 5.748 1.856 1.535
O 5.469 -0.196 6.526
O 5.886 -0.264 4.019
O 5.460 3.044 7.305
O 5.439 7.610 5.503
O 5.449 0.950 9.406
O 6.050 7.763 2.704
O 5.630 5.776 10.103
O 6.758 3.235 3.713
O 6.828 9.688 1.195
O 6.276 8.043 8.948
O 7.230 5.451 1.783
O 6.935 5.830 4.753
O 6.659 3.538 9.760
O 7.010 4.985 7.351
O 7.584 1.722 5.893
O 7.693 9.299 4.790
O 8.545 2.470 1.147
O 7.734 0.005 9.728
O 8.621 1.471 3.412
O 8.067 7.264 6.624
O 8.433 -0.454 7.121
O 8.502 7.561 3.342
O 8.276 2.208 8.336
O 9.091 7.475 0.841
O 9.030 4.180 3.573
O 8.813 3.763 6.161
O 9.428 10.101 1.743

***

Result set for E_tot: -5.1042, -7.1157, -7.2764 eV per atom, one per record in the order listed.